[1]
Density functional theory data (PBE-GGA) for AlPO4 after structural relaxation.

Values from the calculation:
Uncorrected energy: -7.0616 eV/atom
Total magnetic moment: 0.0 μB/cell
Total energy after the MP2020 corrections: -7.17 eV/atom
Energy of formation from the pure elements: -2.34 eV per atom
Volume: 14.300 Å³ per atom

Cell lengths 8.6062, 9.1253, 9.5153 Å; angles 97.05, 111.32, 93.48 degrees
With the nearest neighbours (Å) after each atom.
Space group P-1 (No. 2)
Unique sites:
Al  0.0045  0.1055  0.4025 x2  5 O 1.84-1.93
Al  0.1752  0.8297  0.3640 x2  4 O 1.73-1.84
Al  0.2050  0.3493  0.0404 x2  5 O 1.82-2.00
Al  0.4258  0.6168  0.0537 x2  5 O 1.79-1.94
P  0.1210  0.5589  0.2015 x2  4 O 1.52-1.57
P  0.2263  0.7795  0.7742 x2  4 O 1.49-1.66
P  0.2530  0.0876  0.2459 x2  3 O 1.53-1.54
P  0.4740  0.9420  0.6891 x2  3 O 1.52-1.61
O  0.0178  0.9034  0.4139 x2  3 Al 1.73-1.87
O  0.0256  0.3452  0.8636 x2  1 P 1.56
O  0.0759  0.3914  0.1760 x2  1 P 1.52
O  0.1007  0.7129  0.6141 x2  1 P 1.53
O  0.1588  0.9281  0.8014 x2  1 P 1.54
O  0.1823  0.9219  0.2068 x2  1 P 1.54
O  0.2001  0.1620  0.3729 x2  1 P 1.54
O  0.2142  0.6421  0.3654 x2  1 P 1.54
O  0.2287  0.1686  0.1096 x2  1 P 1.53
O  0.2472  0.5590  0.1163 x2  1 P 1.57
O  0.2748  0.6836  0.8964 x2  1 P 1.49
O  0.3657  0.9250  0.5204 x2  1 P 1.52
O  0.3941  0.4013  0.0034 x2  3 Al 1.83-1.94
O  0.4126  0.8178  0.7639 x2  2 P 1.57-1.66
O  0.4586  0.0866  0.7965 x2  1 O 1.48, 1 P 1.61
O  0.4871  0.7646  0.2286 x2  1 O 1.48


[2]
Density functional theory data (PBE-GGA) for AlPO4 after structural relaxation.

Values from the calculation:
Uncorrected energy: -7.4848 eV/atom
Total energy after the MP2020 corrections: -7.94 eV/atom
Energy of formation from the pure elements: -3.12 eV per atom
Volume: 16.196 Å³ per atom
Largest piezoelectric modulus: 0.23 C/m²

Cell lengths 5.1065, 8.4624, 5.1327 Å; angles 90.00, 118.81, 90.00 degrees
With the nearest neighbours (Å) after each atom.
Space group P2_1 (No. 4)
Unique sites:
Al  0.1025  0.0000  0.3528 x2  4 O 1.74-1.75
P  0.2256  0.3745  0.3055 x2  4 O 1.53-1.54
O  0.0375  0.4797  0.3972 x2  1 P 1.54
O  0.1485  0.2006  0.3140 x2  1 P 1.53
O  0.1586  0.4196  0.9893 x2  1 P 1.54
O  0.4401  0.8985  0.4802 x2  1 P 1.53


[3]
Density functional theory data (PBE-GGA) for Cu4Br3Cl after structural relaxation.

Values from the calculation:
Uncorrected energy: -2.9950 eV/atom
Total magnetic moment: 0.0 μB/cell
Total energy after the MP2020 corrections: -3.07 eV/atom
Energy of formation from the pure elements: -0.18 eV per atom
Volume: 18.842 Å³ per atom

Cell lengths 5.3265, 5.3265, 10.6261 Å; angles 90.00, 90.00, 90.00 degrees
With the nearest neighbours (Å) after each atom.
Space group I4/mmm (No. 139)
Unique sites:
Cu  0.0000  0.0000  0.2464 x4  1 Cl 2.62, 5 Br 2.66-2.70
Cu  0.0000  0.5000  0.0000 x4  4 Br 2.66, 2 Cl 2.66
Br  0.0000  0.0000  0.5000 x2  6 Cu 2.66-2.70
Br  0.0000  0.5000  0.2500 x4  6 Cu 2.66
Cl  0.0000  0.0000  0.0000 x2  6 Cu 2.62-2.66


[4]
Density functional theory data (PBE-GGA) for Cu2B2C after structural relaxation.

Values from the calculation:
Uncorrected energy: -5.5113 eV/atom
Total magnetic moment: 0.0 μB/cell
Energy of formation from the pure elements: 0.65 eV per atom
Energy above the most stable polymorph in this dataset: 0.0 meV/atom
Volume: 13.149 Å³ per atom

Cell lengths 5.4285, 5.4042, 5.1953 Å; angles 90.00, 120.38, 90.00 degrees
With the nearest neighbours (Å) after each atom.
Space group C2/m (No. 12)
Unique sites:
Cu  0.0000  0.2490  0.0000 x4  4 B 2.08
B  0.1605  0.5000  0.8167 x4  1 C 1.42
C  0.0000  0.5000  0.5000 x2  2 B 1.42


[5]
Density functional theory data (PBE-GGA) for KIO3 after structural relaxation.

Values from the calculation:
Uncorrected energy: -4.4439 eV/atom
Total magnetic moment: 0.0 μB/cell
Total energy after the MP2020 corrections: -4.86 eV/atom
Energy of formation from the pure elements: -1.36 eV per atom
Volume: 18.680 Å³ per atom

Cell lengths 12.8252, 9.0595, 9.0770 Å; angles 90.00, 134.89, 90.00 degrees
With the nearest neighbours (Å) after each atom.
Space group C2 (No. 5)
Unique sites:
K  0.0000  0.0000  0.0000 x2  8 O 2.97-3.14
K  0.0000  0.0064  0.5000 x2  10 O 3.04-3.37
K  0.0000  0.5000  0.5000 x2  12 O 3.01-3.34
K  0.0000  0.5094  0.0000 x2  6 O 2.93-3.27
I  0.2308  0.7429  0.9954 x4  3 O 1.82-1.84
I  0.2322  0.2577  0.4632 x4  3 O 1.83-1.84
O  0.0344  0.2322  0.2894 x4  1 I 1.83
O  0.0339  0.7735  0.7779 x4  1 I 1.82
O  0.2268  0.5396  0.9912 x4  1 I 1.84
O  0.2327  0.4607  0.4497 x4  1 I 1.84
O  0.2438  0.7723  0.2089 x4  1 I 1.84
O  0.2468  0.2118  0.2805 x4  1 I 1.84


[6]
Density functional theory data (PBE-GGA) for Tb2Ru2O7 after structural relaxation.

Values from the calculation:
Uncorrected energy: -7.8307 eV/atom
Total energy after the MP2020 corrections: -8.27 eV/atom
Energy of formation from the pure elements: -2.59 eV per atom
Volume: 12.318 Å³ per atom

Cell lengths 10.2724, 10.2724, 10.2724 Å; angles 90.00, 90.00, 90.00 degrees
With the nearest neighbours (Å) after each atom.
Space group Fd-3m (No. 227, origin choice 2)
Unique sites:
Tb  0.0000  0.0000  0.0000 x16  8 O 2.22-2.47
Ru  0.0000  0.0000  0.5000 x16  6 O 2.02
O  0.0868  0.3750  0.8750 x48  2 Ru 2.02
O  0.1250  0.1250  0.1250 x8  4 Tb 2.22


[7]
Density functional theory data (PBE-GGA) for Na4CuTe2O29 after structural relaxation.

Values from the calculation:
Uncorrected energy: -4.7424 eV/atom
Total magnetic moment: 17.0 μB/cell
Total energy after the MP2020 corrections: -4.87 eV/atom
Energy of formation from the pure elements: -0.45 eV per atom
Energy above the most stable polymorph in this dataset: 0.0 meV/atom
Volume: 18.111 Å³ per atom

Cell lengths 5.4426, 8.9248, 14.1222 Å; angles 90.29, 93.45, 107.74 degrees
With the nearest neighbours (Å) after each atom.
Space group P-1 (No. 2)
Unique sites:
Na  0.0775  0.3691  0.3254 x2  3 O 2.27-2.54
Na  0.1228  0.8563  0.9552 x2  3 O 2.24-2.44
Cu  0.5000  0.5000  0.0000 x1  4 O 1.90-1.91
Te  0.2649  0.7227  0.1940 x2  2 O 1.83-1.84
O  0.0000  0.5000  0.5000 x1  2 O 1.83
O  0.0072  0.1749  0.5196 x2  1 O 1.24
O  0.0086  0.5812  0.2541 x2  1 Te 1.83
O  0.0871  0.8172  0.1112 x2  1 Te 1.84
O  0.0889  0.9249  0.7409 x2  1 O 1.26
O  0.1021  0.8967  0.4124 x2  1 O 1.24
O  0.1697  0.3476  0.1458 x2  1 O 1.34
O  0.2787  0.9509  0.8012 x2  1 O 1.26
O  0.2902  0.4836  0.1058 x2  1 O 1.34
O  0.3126  0.5473  0.4475 x2  1 O 1.26
O  0.3607  0.1682  0.0317 x2  1 O 1.32
O  0.4056  0.6949  0.6585 x2  1 O 1.24
O  0.4320  0.6897  0.4349 x2  1 O 1.26
O  0.4725  0.8293  0.6260 x2  1 O 1.24
O  0.4907  0.2873  0.9820 x2  1 O 1.32


[8]
Density functional theory data (PBE-GGA) for Ho2In after structural relaxation.

Values from the calculation:
Uncorrected energy: -4.3177 eV/atom
Energy of formation from the pure elements: -0.35 eV per atom
Volume: 27.900 Å³ per atom

Cell lengths 5.3715, 5.3715, 6.6994 Å; angles 90.00, 90.00, 120.00 degrees
With the nearest neighbours (Å) after each atom.
Space group P6_3/mmc (No. 194)
Unique sites:
Ho  0.0000  0.0000  0.0000 x2  8 Ho 3.35-3.52, 6 In 3.52
Ho  0.3333  0.6667  0.2500 x2  5 In 3.10-3.35
In  0.3333  0.6667  0.7500 x2  5 Ho 3.10-3.35


[9]
Density functional theory data (PBE-GGA) for Ca3Sn2S7 after structural relaxation.

Values from the calculation:
Uncorrected energy: -4.7622 eV/atom
Total magnetic moment: 0.0 μB/cell
Total energy after the MP2020 corrections: -5.06 eV/atom
Energy of formation from the pure elements: -1.47 eV per atom
Energy above the most stable polymorph in this dataset: 50.7 meV/atom
Volume: 22.994 Å³ per atom

Cell lengths 11.3425, 12.5501, 3.8768 Å; angles 90.00, 90.00, 90.00 degrees
With the nearest neighbours (Å) after each atom.
Space group Pbam (No. 55)
Unique sites:
Ca  0.0000  0.0000  0.0000 x2  8 S 3.11-3.12
Ca  0.1098  0.3530  0.0000 x4  7 S 2.92-3.05
Sn  0.2216  0.6092  0.5000 x4  4 S 2.40-2.48
S  0.0000  0.5000  0.5000 x2  2 Sn 2.86, 4 Ca 2.95
S  0.0754  0.1815  0.5000 x4  1 Sn 2.48
S  0.1460  0.7102  0.0000 x4  2 Sn 2.47
S  0.2020  0.9310  0.5000 x4  1 Sn 2.40


[10]
Density functional theory data (PBE-GGA) for Na4Nb3AlSi5SO24 after structural relaxation.

Values from the calculation:
Uncorrected energy: -7.4317 eV/atom
Total magnetic moment: 0.0 μB/cell
Total energy after the MP2020 corrections: -7.87 eV/atom
Energy of formation from the pure elements: -2.88 eV per atom
Volume: 13.653 Å³ per atom

Cell lengths 8.8983, 8.9113, 22.5991 Å; angles 89.28, 89.72, 60.30 degrees
With the nearest neighbours (Å) after each atom.
Space group P1 (No. 1)
Unique sites:
Na  0.0000  0.0000  0.0000 x1  6 O 2.47-2.63
Na  0.0009  0.0069  0.5052 x1  6 O 2.55-2.62
Na  0.0224  0.6736  0.4212 x1  4 O 2.39-2.55
Na  0.3261  0.3454  0.8331 x1  6 O 2.44-2.72
Na  0.3275  0.3316  0.3335 x1  6 O 2.46-2.76
Na  0.3363  0.9658  0.0839 x1  5 O 2.37-2.58
Na  0.3584  0.0102  0.7531 x1  4 O 2.33-2.52
Na  0.6630  0.6707  0.1711 x1  6 O 2.52-2.62
Na  0.6670  0.3098  0.4208 x1  4 O 2.34-2.57
Na  0.6680  0.6573  0.6661 x1  5 O 2.41-2.68
Na  0.6926  0.3443  0.0855 x1  4 O 2.35-2.54
Na  0.9592  0.7022  0.0838 x1  5 O 2.41-2.57
Nb  0.0002  0.0052  0.3583 x1  6 O 1.92-2.10
Nb  0.0100  0.9907  0.8561 x1  5 O 1.88-2.01
Nb  0.3215  0.3361  0.9814 x1  5 O 1.92-2.00
Nb  0.3308  0.3391  0.1918 x1  6 O 1.97-2.01
Nb  0.3423  0.3293  0.4827 x1  5 O 1.90-2.06
Nb  0.6643  0.6716  0.3156 x1  6 O 1.97-2.03
Nb  0.6712  0.6765  0.8140 x1  5 O 1.92-2.04
Nb  0.9849  0.0164  0.6521 x1  4 O 1.88-1.99
Nb  0.9967  0.0038  0.1517 x1  6 O 1.93-2.08
Al  0.3441  0.3472  0.6964 x1  4 O 1.81-1.95
Al  0.6589  0.6876  0.0256 x1  5 O 1.84-1.98
Al  0.6628  0.6530  0.5183 x1  4 O 1.80-1.89
Si  0.0034  0.2992  0.7528 x1  4 O 1.61-1.68
Si  0.0308  0.3455  0.0865 x1  4 O 1.61-1.65
Si  0.2883  0.7052  0.7506 x1  4 O 1.59-1.68
Si  0.2901  0.0035  0.2535 x1  4 O 1.61-1.65
Si  0.3370  0.6269  0.0842 x1  4 O 1.62-1.65
Si  0.3785  0.6782  0.4237 x1  4 O 1.58-1.69
Si  0.3811  0.9524  0.9234 x1  4 O 1.61-1.67
Si  0.6147  0.3521  0.5905 x1  4 O 1.60-1.71
Si  0.6182  0.0460  0.0859 x1  4 O 1.62-1.65
Si  0.6623  0.9460  0.4251 x1  4 O 1.60-1.68
Si  0.7014  0.0167  0.7542 x1  4 O 1.60-1.66
Si  0.7059  0.2962  0.2543 x1  4 O 1.62-1.66
Si  0.9447  0.6743  0.9247 x1  4 O 1.60-1.66
Si  0.9499  0.3849  0.4234 x1  4 O 1.59-1.65
Si  0.9978  0.7117  0.2550 x1  4 O 1.62-1.65
S  0.0407  0.6230  0.5886 x1  4 O 1.46-1.53
S  0.3358  0.0446  0.5890 x1  4 O 1.46-1.53
S  0.6651  0.3843  0.9222 x1  4 O 1.48-1.50
O  0.0201  0.1670  0.0923 x1  1 Si 1.64
O  0.0250  0.8042  0.3132 x1  1 Si 1.64
O  0.0282  0.7984  0.5921 x1  1 S 1.51
O  0.0353  0.1682  0.8095 x1  1 Si 1.65
O  0.1262  0.3779  0.1427 x1  1 Si 1.64
O  0.1256  0.5145  0.6404 x1  1 S 1.46
O  0.1413  0.3684  0.4308 x1  1 Si 1.64
O  0.1425  0.5038  0.9274 x1  1 Si 1.66
O  0.1468  0.5437  0.5328 x1  1 S 1.53
O  0.1613  0.8170  0.0925 x1  1 Si 1.65
O  0.1638  0.0328  0.3107 x1  1 Si 1.64
O  0.1660  0.2991  0.0303 x1  1 Si 1.65
O  0.1658  0.8040  0.8098 x1  1 Si 1.68, 1 Nb 1.88
O  0.1699  0.5245  0.2475 x1  1 Si 1.62
O  0.1745  0.0290  0.5912 x1  1 S 1.51
O  0.1771  0.3068  0.7397 x1  1 Si 1.61
O  0.1789  0.8366  0.4155 x1  1 Si 1.64
O  0.1824  0.9835  0.9146 x1  1 Si 1.66
O  0.1947  0.8440  0.6956 x1  1 Si 1.65
O  0.1980  0.9757  0.1944 x1  1 Si 1.65
O  0.2934  0.5355  0.0297 x1  1 Si 1.64
O  0.3012  0.5214  0.7463 x1  1 Si 1.59
O  0.3032  0.1776  0.2475 x1  1 Si 1.62
O  0.3050  0.1589  0.5344 x1  1 S 1.53
O  0.3509  0.5039  0.4303 x1  1 Si 1.69
O  0.3535  0.1277  0.6415 x1  1 S 1.46
O  0.3610  0.1480  0.9274 x1  1 Si 1.67
O  0.3681  0.5024  0.1428 x1  1 Si 1.65
O  0.4651  0.7054  0.4804 x1  1 Si 1.58
O  0.4664  0.8376  0.9821 x1  1 Si 1.61
O  0.4730  0.6999  0.7621 x1  1 Si 1.64
O  0.4764  0.8310  0.2597 x1  1 Si 1.61
O  0.4905  0.8742  0.5807 x1  1 S 1.47
O  0.4913  0.3638  0.6443 x1  1 Si 1.60
O  0.4926  0.1384  0.1432 x1  1 Si 1.65
O  0.4943  0.8647  0.8628 x1  1 Si 1.65
O  0.4954  0.1483  0.4293 x1  1 Si 1.68
O  0.5006  0.6293  0.3645 x1  1 Si 1.64
O  0.5065  0.3665  0.9261 x1  1 S 1.50
O  0.5077  0.1716  0.7445 x1  1 Si 1.60
O  0.5087  0.6446  0.0776 x1  1 Si 1.62
O  0.5177  0.3104  0.2473 x1  1 Si 1.62
O  0.5253  0.3141  0.5300 x1  1 Si 1.71, 1 Nb 1.90
O  0.5294  0.1783  0.0298 x1  1 Si 1.63
O  0.6307  0.8678  0.3640 x1  1 Si 1.64
O  0.6381  0.4915  0.8682 x1  1 S 1.48
O  0.6396  0.8554  0.0810 x1  1 Si 1.62
O  0.6406  0.5181  0.5792 x1  1 Si 1.62
O  0.6840  0.8398  0.7598 x1  1 Si 1.66
O  0.6887  0.4623  0.9761 x1  1 S 1.48
O  0.6902  0.4842  0.2598 x1  1 Si 1.62
O  0.6999  0.8210  0.4812 x1  1 Si 1.60
O  0.7961  0.1752  0.3132 x1  1 Si 1.64
O  0.7993  0.0381  0.8115 x1  1 Si 1.63
O  0.8096  0.1688  0.5936 x1  1 Si 1.69
O  0.8107  0.0286  0.0926 x1  1 Si 1.65
O  0.8198  0.2098  0.9161 x1  1 S 1.49
O  0.8239  0.6972  0.2593 x1  1 Si 1.62
O  0.8250  0.4690  0.4787 x1  1 Si 1.59
O  0.8250  0.4826  0.7615 x1  1 Si 1.63
O  0.8260  0.2038  0.1951 x1  1 Si 1.66
O  0.8287  0.9796  0.4160 x1  1 Si 1.66
O  0.8308  0.9728  0.6965 x1  1 Si 1.65
O  0.8316  0.6962  0.9828 x1  1 Si 1.60
O  0.8413  0.5111  0.0772 x1  1 Si 1.61
O  0.8574  0.6421  0.8650 x1  1 Si 1.66
O  0.8656  0.6454  0.5813 x1  1 S 1.48
O  0.8668  0.5068  0.3639 x1  1 Si 1.65
O  0.9642  0.2030  0.6963 x1  1 Si 1.68, 1 Nb 1.88
O  0.9672  0.1938  0.4145 x1  1 Si 1.65
O  0.9672  0.8460  0.9148 x1  1 Si 1.65
O  0.9683  0.8322  0.1952 x1  1 Si 1.65


[11]
Density functional theory data (PBE-GGA) for ScCuO2 after structural relaxation.

Values from the calculation:
Uncorrected energy: -7.4630 eV/atom
Total energy after the MP2020 corrections: -7.81 eV/atom
Energy of formation from the pure elements: -2.72 eV per atom
Volume: 13.046 Å³ per atom

Cell lengths 3.2440, 3.2440, 17.1776 Å; angles 90.00, 90.00, 120.00 degrees
With the nearest neighbours (Å) after each atom.
Space group R-3m (No. 166, hexagonal axes)
Unique sites:
Sc  0.0000  0.0000  0.0000 x3  6 O 2.13
Cu  0.0000  0.0000  0.5000 x3  2 O 1.84
O  0.0000  0.0000  0.3928 x6  1 Cu 1.84


[12]
Density functional theory data (PBE-GGA) for CoRhS4 after structural relaxation.

Values from the calculation:
Uncorrected energy: -5.5406 eV/atom
Total energy after the MP2020 corrections: -5.88 eV/atom
Energy of formation from the pure elements: -0.71 eV per atom
Volume: 14.890 Å³ per atom

Cell lengths 5.6382, 5.6313, 5.6276 Å; angles 90.00, 90.07, 90.00 degrees
With the nearest neighbours (Å) after each atom.
Space group P2_1/c (No. 14)
Unique sites:
Co  0.0000  0.0000  0.0000 x2  6 S 2.32-2.34
Rh  0.5000  0.0000  0.5000 x2  6 S 2.38-2.41
S  0.1035  0.1138  0.3868 x4  1 S 2.15, 2 Co 2.34
S  0.3814  0.6073  0.3922 x4  1 S 2.17, 1 Co 2.32, 2 Rh 2.38-2.39


[13]
Density functional theory data (PBE-GGA) for Hg3Sb after structural relaxation.

Values from the calculation:
Uncorrected energy: -1.0948 eV/atom
Total magnetic moment: 0.0 μB/cell
Total energy after the MP2020 corrections: -1.14 eV/atom
Energy of formation from the pure elements: 0.12 eV per atom
Energy above the most stable polymorph in this dataset: 10.5 meV/atom
Volume: 26.576 Å³ per atom

Cell lengths 7.5198, 7.5198, 7.5198 Å; angles 90.00, 90.00, 90.00 degrees
With the nearest neighbours (Å) after each atom.
Space group Fm-3m (No. 225)
Unique sites:
Hg  0.0000  0.0000  0.0000 x4  8 Hg 3.26
Hg  0.2500  0.2500  0.2500 x8  4 Hg 3.26, 4 Sb 3.26
Sb  0.0000  0.0000  0.5000 x4  8 Hg 3.26